Record 1
The following is a DFT calculation (meta-GGA r2SCAN) of a geometry-optimized NdGe2Pd2 structure.

Cell lengths 4.3232, 4.3232, 10.1187 Å; angles 90.00, 90.00, 90.00 degrees
Last column: nearest neighbours and their distance in Å.
Positions (direct):
Nd: 0.0000 0.0000 0.0000  8 Ge 3.30, 8 Pd 3.33
Nd: 0.5000 0.5000 0.5000  8 Ge 3.30, 8 Pd 3.33
Ge: 0.0000 0.0000 0.3777  1 Ge 2.48, 4 Pd 2.52
Ge: 0.0000 0.0000 0.6223  1 Ge 2.48, 4 Pd 2.52
Ge: 0.5000 0.5000 0.1223  1 Ge 2.48, 4 Pd 2.52
Ge: 0.5000 0.5000 0.8777  1 Ge 2.48, 4 Pd 2.52
Pd: 0.0000 0.5000 0.2500  4 Ge 2.52
Pd: 0.0000 0.5000 0.7500  4 Ge 2.52
Pd: 0.5000 0.0000 0.2500  4 Ge 2.52
Pd: 0.5000 0.0000 0.7500  4 Ge 2.52

**Space-group type**: I4/mmm
**Electronic total energy**: -214.92 eV for the cell shown



Record 2
The following is a DFT calculation (meta-GGA r2SCAN) of a geometry-optimized Mn11ZnO16 structure.

Cell lengths 6.2164, 6.2164, 8.1688 Å; angles 90.00, 90.00, 97.87 degrees
Last column: nearest neighbours and their distance in Å.
Positions (direct):
Mn: 0.0000 0.0000 0.0000  4 O 2.03
Mn: 0.0000 0.5000 0.7494  4 O 2.02
Mn: 0.0017 0.2513 0.3764  4 O 1.93-1.94
Mn: 0.2513 0.0017 0.6236  4 O 1.93-1.94
Mn: 0.2517 0.5005 0.1268  4 O 1.93-1.94
Mn: 0.5000 0.0000 0.2506  4 O 2.02
Mn: 0.5005 0.2517 0.8732  4 O 1.93-1.94
Mn: 0.4995 0.7483 0.8732  4 O 1.93-1.94
Mn: 0.7483 0.4995 0.1268  4 O 1.93-1.94
Mn: 0.7487 0.9983 0.6236  4 O 1.93-1.94
Mn: 0.9983 0.7487 0.3764  4 O 1.93-1.94
Zn: 0.5000 0.5000 0.5000  4 O 1.98
O: 0.0075 0.2709 0.1397  3 Mn 1.94-2.03
O: 0.0072 0.7712 0.6123  3 Mn 1.93-2.02
O: 0.2288 0.9928 0.3877  3 Mn 1.93-2.02
O: 0.2342 0.4936 0.3644  2 Mn 1.94, 1 Zn 1.98
O: 0.2696 0.5061 0.8892  3 Mn 1.93-2.02
O: 0.2709 0.0075 0.8603  3 Mn 1.94-2.03
O: 0.4936 0.2342 0.6356  2 Mn 1.94, 1 Zn 1.98
O: 0.4939 0.7304 0.1108  3 Mn 1.93-2.02
O: 0.5061 0.2696 0.1108  3 Mn 1.93-2.02
O: 0.5064 0.7658 0.6356  2 Mn 1.94, 1 Zn 1.98
O: 0.7291 0.9925 0.8603  3 Mn 1.94-2.03
O: 0.7304 0.4939 0.8892  3 Mn 1.93-2.02
O: 0.7658 0.5064 0.3644  2 Mn 1.94, 1 Zn 1.98
O: 0.7712 0.0072 0.3877  3 Mn 1.93-2.02
O: 0.9928 0.2288 0.6123  3 Mn 1.93-2.02
O: 0.9925 0.7291 0.1397  3 Mn 1.94-2.03

**Space-group type**: C222
**Electronic total energy**: -324.69 eV for the cell shown



Record 3
The following is a DFT calculation (meta-GGA r2SCAN) of a geometry-optimized Eu2Sb3 structure.

Cell lengths 13.0638, 6.3246, 19.9226 Å; angles 90.00, 130.92, 90.00 degrees
Last column: nearest neighbours and their distance in Å.
Positions (direct):
Eu: 0.0000 0.0569 0.2500  8 Sb 3.29-3.61
Eu: 0.0000 0.9431 0.7500  8 Sb 3.29-3.61
Eu: 0.1249 0.2494 0.5001  8 Sb 3.30-3.46
Eu: 0.1249 0.7506 0.0001  8 Sb 3.30-3.46
Eu: 0.2505 0.4445 0.2504  8 Sb 3.29-3.62
Eu: 0.2505 0.5555 0.7504  8 Sb 3.29-3.62
Eu: 0.3745 0.2510 0.9996  8 Sb 3.30-3.46
Eu: 0.3745 0.7490 0.4996  8 Sb 3.30-3.46
Eu: 0.5000 0.0565 0.2500  8 Sb 3.29-3.61
Eu: 0.5000 0.9435 0.7500  8 Sb 3.29-3.61
Eu: 0.6255 0.2510 0.5004  8 Sb 3.30-3.46
Eu: 0.6255 0.7490 0.0004  8 Sb 3.30-3.46
Eu: 0.7495 0.4445 0.2496  8 Sb 3.29-3.62
Eu: 0.7495 0.5555 0.7496  8 Sb 3.29-3.62
Eu: 0.8751 0.2494 0.9999  8 Sb 3.30-3.46
Eu: 0.8751 0.7506 0.4999  8 Sb 3.30-3.46
Sb: 0.0613 0.4217 0.8435  3 Sb 2.94-3.27
Sb: 0.0613 0.5783 0.3435  3 Sb 2.94-3.27
Sb: 0.1253 0.0771 0.6568  3 Sb 2.94-3.27, 1 Eu 3.29
Sb: 0.1253 0.9229 0.1568  3 Sb 2.94-3.27, 1 Eu 3.29
Sb: 0.2008 0.2502 0.0757  2 Sb 3.15-3.16, 6 Eu 3.33-3.46
Sb: 0.2008 0.7498 0.5757  2 Sb 3.15-3.16, 6 Eu 3.33-3.46
Sb: 0.2997 0.2492 0.4248  2 Sb 3.16-3.17, 6 Eu 3.33-3.46
Sb: 0.2997 0.7508 0.9248  2 Sb 3.16-3.17, 6 Eu 3.33-3.46
Sb: 0.3762 0.0776 0.8442  3 Sb 2.94-3.27, 1 Eu 3.29
Sb: 0.3762 0.9224 0.3442  3 Sb 2.94-3.27, 1 Eu 3.29
Sb: 0.4376 0.4225 0.6564  3 Sb 2.93-3.27
Sb: 0.4376 0.5775 0.1564  3 Sb 2.93-3.27
Sb: 0.5624 0.4225 0.8436  3 Sb 2.93-3.27
Sb: 0.5624 0.5775 0.3436  3 Sb 2.93-3.27
Sb: 0.6238 0.0776 0.6558  3 Sb 2.94-3.27, 1 Eu 3.29
Sb: 0.6238 0.9224 0.1558  3 Sb 2.94-3.27, 1 Eu 3.29
Sb: 0.7003 0.2492 0.0752  2 Sb 3.16-3.17, 6 Eu 3.33-3.46
Sb: 0.7003 0.7508 0.5752  2 Sb 3.16-3.17, 6 Eu 3.33-3.46
Sb: 0.7992 0.2502 0.4243  2 Sb 3.15-3.16, 6 Eu 3.33-3.46
Sb: 0.7992 0.7498 0.9243  2 Sb 3.15-3.16, 6 Eu 3.33-3.46
Sb: 0.8747 0.0771 0.8432  3 Sb 2.94-3.27, 1 Eu 3.29
Sb: 0.8747 0.9229 0.3432  3 Sb 2.94-3.27, 1 Eu 3.29
Sb: 0.9387 0.4217 0.6565  3 Sb 2.94-3.27
Sb: 0.9387 0.5783 0.1565  3 Sb 2.94-3.27

**Space-group type**: P2/c
**Electronic total energy**: -1271.97 eV for the cell shown



Record 4
The following is a DFT calculation (meta-GGA r2SCAN) of a geometry-optimized Er2IrPd structure.

Cell lengths 6.8141, 6.8141, 6.8141 Å; angles 90.00, 90.00, 90.00 degrees
Last column: nearest neighbours and their distance in Å.
Positions (direct):
Er: 0.2500 0.2500 0.2500  4 Ir 2.95, 4 Pd 2.95
Er: 0.2500 0.2500 0.7500  4 Ir 2.95, 4 Pd 2.95
Er: 0.2500 0.7500 0.2500  4 Ir 2.95, 4 Pd 2.95
Er: 0.2500 0.7500 0.7500  4 Ir 2.95, 4 Pd 2.95
Er: 0.7500 0.2500 0.2500  4 Ir 2.95, 4 Pd 2.95
Er: 0.7500 0.2500 0.7500  4 Ir 2.95, 4 Pd 2.95
Er: 0.7500 0.7500 0.2500  4 Ir 2.95, 4 Pd 2.95
Er: 0.7500 0.7500 0.7500  4 Ir 2.95, 4 Pd 2.95
Ir: 0.0000 0.0000 0.0000  8 Er 2.95
Ir: 0.0000 0.5000 0.5000  8 Er 2.95
Ir: 0.5000 0.0000 0.5000  8 Er 2.95
Ir: 0.5000 0.5000 0.0000  8 Er 2.95
Pd: 0.0000 0.0000 0.5000  8 Er 2.95
Pd: 0.0000 0.5000 0.0000  8 Er 2.95
Pd: 0.5000 0.0000 0.0000  8 Er 2.95
Pd: 0.5000 0.5000 0.5000  8 Er 2.95

**Space-group type**: Fm-3m
**Electronic total energy**: -589.31 eV for the cell shown



Record 5
The following is a DFT calculation (meta-GGA r2SCAN) of a geometry-optimized Li6ErB3O9 structure.

Cell lengths 7.1059, 16.2720, 6.5677 Å; angles 90.00, 105.06, 90.00 degrees
Last column: nearest neighbours and their distance in Å.
Positions (direct):
Li: 0.0445 0.0295 0.1709  4 O 1.88-2.09
Li: 0.0445 0.4705 0.6709  4 O 1.88-2.09
Li: 0.0637 0.7051 0.0446  5 O 1.96-2.11
Li: 0.0637 0.7949 0.5446  5 O 1.96-2.11
Li: 0.1965 0.5349 0.0555  3 O 1.91-2.03
Li: 0.1965 0.9651 0.5555  3 O 1.91-2.03
Li: 0.2139 0.2055 0.8667  4 O 1.92-2.08
Li: 0.2139 0.2945 0.3667  4 O 1.92-2.08
Li: 0.3664 0.0541 0.9131  3 O 1.88-2.02
Li: 0.3664 0.4459 0.4131  3 O 1.88-2.02
Li: 0.4285 0.0043 0.3231  4 O 1.83-1.93
Li: 0.4285 0.4957 0.8231  4 O 1.83-1.93
Li: 0.5715 0.5043 0.1769  4 O 1.83-1.93
Li: 0.5715 0.9957 0.6769  4 O 1.83-1.93
Li: 0.6336 0.5541 0.5869  3 O 1.88-2.02
Li: 0.6336 0.9459 0.0869  3 O 1.88-2.02
Li: 0.7861 0.7055 0.6333  4 O 1.92-2.08
Li: 0.7861 0.7945 0.1333  4 O 1.92-2.08
Li: 0.8035 0.0349 0.4445  3 O 1.91-2.03
Li: 0.8035 0.4651 0.9445  3 O 1.91-2.03
Li: 0.9363 0.2051 0.4554  5 O 1.96-2.11
Li: 0.9363 0.2949 0.9554  5 O 1.96-2.11
Li: 0.9555 0.5295 0.3291  4 O 1.88-2.09
Li: 0.9555 0.9705 0.8291  4 O 1.88-2.09
Er: 0.4211 0.6903 0.8466  8 O 2.25-2.50
Er: 0.4211 0.8097 0.3466  8 O 2.25-2.50
Er: 0.5789 0.1903 0.6534  8 O 2.25-2.50
Er: 0.5789 0.3097 0.1534  8 O 2.25-2.50
B: 0.0609 0.6157 0.6886  3 O 1.37-1.38
B: 0.0609 0.8843 0.1886  3 O 1.37-1.38
B: 0.2129 0.1213 0.5006  3 O 1.36-1.39
B: 0.2129 0.3787 0.0006  3 O 1.36-1.39
B: 0.4152 0.6354 0.3380  3 O 1.35-1.39
B: 0.4152 0.8646 0.8380  3 O 1.35-1.39
B: 0.5848 0.1354 0.1620  3 O 1.35-1.39
B: 0.5848 0.3646 0.6620  3 O 1.35-1.39
B: 0.7871 0.6213 0.9994  3 O 1.36-1.39
B: 0.7871 0.8787 0.4994  3 O 1.36-1.39
B: 0.9391 0.1157 0.8114  3 O 1.37-1.38
B: 0.9391 0.3843 0.3114  3 O 1.37-1.38
O: 0.0338 0.0886 0.4132  1 B 1.36
O: 0.0338 0.4114 0.9132  1 B 1.36
O: 0.0811 0.6991 0.7292  1 B 1.38
O: 0.0811 0.8009 0.2292  1 B 1.38
O: 0.1083 0.0794 0.9246  1 B 1.37
O: 0.1083 0.4206 0.4246  1 B 1.37
O: 0.2248 0.5683 0.7701  1 B 1.38
O: 0.2248 0.9317 0.2701  1 B 1.38
O: 0.2397 0.2034 0.5586  1 B 1.39
O: 0.2397 0.2966 0.0586  1 B 1.39
O: 0.3546 0.6856 0.1635  1 B 1.38
O: 0.3546 0.8144 0.6635  1 B 1.38
O: 0.3809 0.0742 0.5428  1 B 1.39
O: 0.3809 0.4258 0.0428  1 B 1.39
O: 0.4099 0.5525 0.3246  1 B 1.35
O: 0.4099 0.9475 0.8246  1 B 1.35
O: 0.4925 0.6742 0.5296  1 B 1.39
O: 0.4925 0.8258 0.0296  1 B 1.39
O: 0.5075 0.1742 0.9704  1 B 1.39
O: 0.5075 0.3258 0.4704  1 B 1.39
O: 0.5901 0.0525 0.1754  1 B 1.35
O: 0.5901 0.4475 0.6754  1 B 1.35
O: 0.6191 0.5742 0.9572  1 B 1.39
O: 0.6191 0.9258 0.4572  1 B 1.39
O: 0.6454 0.1856 0.3365  1 B 1.38
O: 0.6454 0.3144 0.8365  1 B 1.38
O: 0.7603 0.7034 0.9414  1 B 1.39
O: 0.7603 0.7966 0.4414  1 B 1.39
O: 0.7752 0.0683 0.7299  1 B 1.38
O: 0.7752 0.4317 0.2299  1 B 1.38
O: 0.8917 0.5794 0.5754  1 B 1.37
O: 0.8917 0.9206 0.0754  1 B 1.37
O: 0.9189 0.1991 0.7708  1 B 1.38
O: 0.9189 0.3009 0.2708  1 B 1.38
O: 0.9662 0.5886 0.0868  1 B 1.36
O: 0.9662 0.9114 0.5868  1 B 1.36

**Space-group type**: P2_1/c
**Electronic total energy**: -702.00 eV for the cell shown



Record 6
The following is a DFT calculation (meta-GGA r2SCAN) of a geometry-optimized NaAcAu2 structure.

Cell lengths 7.4517, 7.4517, 7.4517 Å; angles 90.00, 90.00, 90.00 degrees
Last column: nearest neighbours and their distance in Å.
Positions (direct):
Na: 0.0000 0.0000 0.0000  8 Au 3.23
Na: 0.0000 0.5000 0.5000  8 Au 3.23
Na: 0.5000 0.0000 0.5000  8 Au 3.23
Na: 0.5000 0.5000 0.0000  8 Au 3.23
Ac: 0.0000 0.0000 0.5000  8 Au 3.23
Ac: 0.0000 0.5000 0.0000  8 Au 3.23
Ac: 0.5000 0.0000 0.0000  8 Au 3.23
Ac: 0.5000 0.5000 0.5000  8 Au 3.23
Au: 0.2500 0.2500 0.2500  4 Ac 3.23, 4 Na 3.23
Au: 0.2500 0.2500 0.7500  4 Ac 3.23, 4 Na 3.23
Au: 0.2500 0.7500 0.2500  4 Ac 3.23, 4 Na 3.23
Au: 0.2500 0.7500 0.7500  4 Ac 3.23, 4 Na 3.23
Au: 0.7500 0.2500 0.2500  4 Ac 3.23, 4 Na 3.23
Au: 0.7500 0.2500 0.7500  4 Ac 3.23, 4 Na 3.23
Au: 0.7500 0.7500 0.2500  4 Ac 3.23, 4 Na 3.23
Au: 0.7500 0.7500 0.7500  4 Ac 3.23, 4 Na 3.23

**Space-group type**: Fm-3m
**Electronic total energy**: -704.04 eV for the cell shown



Record 7
The following is a DFT calculation (meta-GGA r2SCAN) of a geometry-optimized LaSb12Ru4 structure.

Cell lengths 8.0862, 8.0862, 8.0862 Å; angles 109.47, 109.47, 109.47 degrees
Last column: nearest neighbours and their distance in Å.
Positions (direct):
La: 0.0000 0.0000 0.0000  12 Sb 3.51
Sb: 0.1586 0.4998 0.3412  2 Ru 2.63
Sb: 0.1586 0.8173 0.6588  2 Ru 2.63
Sb: 0.1827 0.3412 0.8414  2 Ru 2.63
Sb: 0.3412 0.1586 0.4998  2 Ru 2.63
Sb: 0.3412 0.8414 0.1827  2 Ru 2.63
Sb: 0.4998 0.3412 0.1586  2 Ru 2.63
Sb: 0.5002 0.6588 0.8414  2 Ru 2.63
Sb: 0.6588 0.1586 0.8173  2 Ru 2.63
Sb: 0.6588 0.8414 0.5002  2 Ru 2.63
Sb: 0.8173 0.6588 0.1586  2 Ru 2.63
Sb: 0.8414 0.1827 0.3412  2 Ru 2.63
Sb: 0.8414 0.5002 0.6588  2 Ru 2.63
Ru: 0.0000 0.0000 0.5000  6 Sb 2.63
Ru: 0.0000 0.5000 0.0000  6 Sb 2.63
Ru: 0.5000 0.0000 0.0000  6 Sb 2.63
Ru: 0.5000 0.5000 0.5000  6 Sb 2.63

**Space-group type**: Im-3
**Electronic total energy**: -446.97 eV for the cell shown



Record 8
The following is a DFT calculation (meta-GGA r2SCAN) of a geometry-optimized Mg3Al18W2 structure.

Cell lengths 10.2978, 10.2978, 10.2978 Å; angles 60.00, 60.00, 60.00 degrees
Last column: nearest neighbours and their distance in Å.
Positions (direct):
Mg: 0.0000 0.0000 0.0000  12 Al 3.10, 2 Mg 3.15
Mg: 0.0000 0.0000 0.5000  12 Al 3.10, 2 Mg 3.15
Mg: 0.0000 0.5000 0.0000  12 Al 3.10, 2 Mg 3.15
Mg: 0.1250 0.1250 0.1250  4 Mg 3.15, 12 Al 3.19
Mg: 0.5000 0.0000 0.0000  12 Al 3.10, 2 Mg 3.15
Mg: 0.8750 0.8750 0.8750  4 Mg 3.15, 12 Al 3.19
Al: 0.0588 0.3234 0.3234  8 Al 2.68-2.97, 1 W 2.84
Al: 0.0588 0.3234 0.7944  8 Al 2.68-2.97, 1 W 2.84
Al: 0.0588 0.7944 0.3234  8 Al 2.68-2.97, 1 W 2.84
Al: 0.2056 0.6766 0.6766  8 Al 2.68-2.97, 1 W 2.84
Al: 0.2056 0.6766 0.9412  8 Al 2.68-2.97, 1 W 2.84
Al: 0.2056 0.9412 0.6766  8 Al 2.68-2.97, 1 W 2.84
Al: 0.2322 0.2322 0.5178  2 W 2.59, 6 Al 2.68-2.85
Al: 0.2322 0.5178 0.2322  2 W 2.59, 6 Al 2.68-2.85
Al: 0.2322 0.5178 0.5178  2 W 2.59, 6 Al 2.68-2.85
Al: 0.3234 0.0588 0.3234  8 Al 2.68-2.97, 1 W 2.84
Al: 0.3234 0.0588 0.7944  8 Al 2.68-2.97, 1 W 2.84
Al: 0.3234 0.3234 0.0588  8 Al 2.68-2.97, 1 W 2.84
Al: 0.3234 0.3234 0.7944  8 Al 2.68-2.97, 1 W 2.84
Al: 0.3234 0.7944 0.0588  8 Al 2.68-2.97, 1 W 2.84
Al: 0.3234 0.7944 0.3234  8 Al 2.68-2.97, 1 W 2.84
Al: 0.4822 0.4822 0.7678  2 W 2.59, 6 Al 2.68-2.85
Al: 0.4822 0.7678 0.4822  2 W 2.59, 6 Al 2.68-2.85
Al: 0.4822 0.7678 0.7678  2 W 2.59, 6 Al 2.68-2.85
Al: 0.5178 0.2322 0.2322  2 W 2.59, 6 Al 2.68-2.85
Al: 0.5178 0.2322 0.5178  2 W 2.59, 6 Al 2.68-2.85
Al: 0.5178 0.5178 0.2322  2 W 2.59, 6 Al 2.68-2.85
Al: 0.6766 0.2056 0.6766  8 Al 2.68-2.97, 1 W 2.84
Al: 0.6766 0.2056 0.9412  8 Al 2.68-2.97, 1 W 2.84
Al: 0.6766 0.6766 0.2056  8 Al 2.68-2.97, 1 W 2.84
Al: 0.6766 0.6766 0.9412  8 Al 2.68-2.97, 1 W 2.84
Al: 0.6766 0.9412 0.2056  8 Al 2.68-2.97, 1 W 2.84
Al: 0.6766 0.9412 0.6766  8 Al 2.68-2.97, 1 W 2.84
Al: 0.7678 0.4822 0.4822  2 W 2.59, 6 Al 2.68-2.85
Al: 0.7678 0.4822 0.7678  2 W 2.59, 6 Al 2.68-2.85
Al: 0.7678 0.7678 0.4822  2 W 2.59, 6 Al 2.68-2.85
Al: 0.7944 0.0588 0.3234  8 Al 2.68-2.97, 1 W 2.84
Al: 0.7944 0.3234 0.0588  8 Al 2.68-2.97, 1 W 2.84
Al: 0.7944 0.3234 0.3234  8 Al 2.68-2.97, 1 W 2.84
Al: 0.9412 0.2056 0.6766  8 Al 2.68-2.97, 1 W 2.84
Al: 0.9412 0.6766 0.2056  8 Al 2.68-2.97, 1 W 2.84
Al: 0.9412 0.6766 0.6766  8 Al 2.68-2.97, 1 W 2.84
W: 0.0000 0.5000 0.5000  12 Al 2.59-2.84
W: 0.5000 0.0000 0.5000  12 Al 2.59-2.84
W: 0.5000 0.5000 0.0000  12 Al 2.59-2.84
W: 0.5000 0.5000 0.5000  12 Al 2.59-2.84

**Space-group type**: Fd-3m
**Electronic total energy**: -477.84 eV for the cell shown